1.
Compound: CsLa3O5
Source: the Materials Project database
Functional: GGA-PBE
Structure: optimized geometry

Values from the calculation:
**DFT formation energy**: -3.409 eV per atom
**E (MP2020)**: -7.90 eV/atom
**Crystal system**: orthorhombic

a = 10.952 Å, b = 3.800 Å, c = 18.683 Å
α = 90.00°, β = 90.00°, γ = 90.00°
Element x y z (fractional)
Cs (0.031, 0.250, 0.126)
Cs (0.469, 0.750, 0.626)
Cs (0.531, 0.250, 0.374)
Cs (0.969, 0.750, 0.874)
La (0.111, 0.250, 0.664)
La (0.154, 0.750, 0.489)
La (0.185, 0.250, 0.317)
La (0.315, 0.750, 0.817)
La (0.346, 0.250, 0.989)
La (0.389, 0.750, 0.164)
La (0.611, 0.250, 0.836)
La (0.654, 0.750, 0.011)
La (0.685, 0.250, 0.183)
La (0.815, 0.750, 0.683)
La (0.846, 0.250, 0.511)
La (0.889, 0.750, 0.336)
O (0.023, 0.250, 0.420)
O (0.070, 0.750, 0.271)
O (0.193, 0.750, 0.714)
O (0.225, 0.250, 0.552)
O (0.230, 0.250, 0.885)
O (0.270, 0.750, 0.385)
O (0.275, 0.750, 0.052)
O (0.307, 0.250, 0.214)
O (0.430, 0.250, 0.771)
O (0.477, 0.750, 0.920)
O (0.523, 0.250, 0.080)
O (0.570, 0.750, 0.229)
O (0.693, 0.750, 0.786)
O (0.725, 0.250, 0.948)
O (0.730, 0.250, 0.615)
O (0.770, 0.750, 0.115)
O (0.775, 0.750, 0.448)
O (0.807, 0.250, 0.286)
O (0.930, 0.250, 0.729)
O (0.977, 0.750, 0.580)

2.
Compound: RbMg6Cr
Source: the Materials Project database
Functional: GGA-PBE
Structure: optimized geometry

Values from the calculation:
**DFT formation energy**: 0.424 eV per atom

a = 5.355 Å, b = 6.714 Å, c = 11.604 Å
α = 90.00°, β = 90.00°, γ = 90.00°
Element x y z (fractional)
Mg (0.000, 0.500, 0.155)
Mg (0.000, 0.000, 0.655)
Mg (0.000, 0.274, 0.920)
Mg (0.500, 0.748, 0.083)
Mg (0.500, 0.252, 0.083)
Mg (0.500, 0.752, 0.583)
Mg (0.000, 0.726, 0.920)
Mg (0.000, 0.774, 0.420)
Mg (0.000, 0.226, 0.420)
Mg (0.500, 0.248, 0.583)
Mg (0.000, 0.000, 0.171)
Mg (0.000, 0.500, 0.671)
Cr (0.500, 0.000, 0.334)
Cr (0.500, 0.500, 0.834)
Rb (0.500, 0.000, 0.834)
Rb (0.500, 0.500, 0.334)

3.
Compound: Na4Ge2Te5
Source: the Materials Project database
Functional: GGA-PBE
Structure: optimized geometry

Values from the calculation:
**DFT formation energy**: -0.774 eV per atom
**E (MP2020)**: -3.52 eV/atom
**Crystal system**: monoclinic

a = 14.317 Å, b = 13.085 Å, c = 15.256 Å
α = 90.00°, β = 92.75°, γ = 90.00°
Element x y z (fractional)
Na (0.009, 0.090, 0.272)
Na (0.009, 0.410, 0.772)
Na (0.077, 0.135, 0.927)
Na (0.077, 0.365, 0.427)
Na (0.120, 0.634, 0.963)
Na (0.120, 0.866, 0.463)
Na (0.216, 0.143, 0.653)
Na (0.216, 0.357, 0.153)
Na (0.298, 0.593, 0.359)
Na (0.298, 0.907, 0.859)
Na (0.402, 0.621, 0.060)
Na (0.402, 0.879, 0.560)
Na (0.405, 0.121, 0.051)
Na (0.405, 0.379, 0.551)
Na (0.489, 0.157, 0.769)
Na (0.489, 0.343, 0.269)
Na (0.511, 0.657, 0.731)
Na (0.511, 0.843, 0.231)
Na (0.595, 0.621, 0.449)
Na (0.595, 0.879, 0.949)
Na (0.598, 0.121, 0.440)
Na (0.598, 0.379, 0.940)
Na (0.702, 0.093, 0.141)
Na (0.702, 0.407, 0.641)
Na (0.784, 0.643, 0.847)
Na (0.784, 0.857, 0.347)
Na (0.880, 0.134, 0.537)
Na (0.880, 0.366, 0.037)
Na (0.923, 0.635, 0.573)
Na (0.923, 0.865, 0.073)
Na (0.991, 0.590, 0.228)
Na (0.991, 0.910, 0.728)
Ge (0.179, 0.697, 0.714)
Ge (0.179, 0.803, 0.214)
Ge (0.220, 0.591, 0.586)
Ge (0.220, 0.909, 0.086)
Ge (0.279, 0.163, 0.418)
Ge (0.279, 0.337, 0.918)
Ge (0.326, 0.058, 0.290)
Ge (0.326, 0.442, 0.790)
Ge (0.674, 0.558, 0.210)
Ge (0.674, 0.942, 0.710)
Ge (0.721, 0.663, 0.082)
Ge (0.721, 0.837, 0.582)
Ge (0.780, 0.091, 0.914)
Ge (0.780, 0.409, 0.414)
Ge (0.821, 0.197, 0.786)
Ge (0.821, 0.303, 0.286)
Te (0.014, 0.661, 0.767)
Te (0.014, 0.839, 0.267)
Te (0.103, 0.620, 0.455)
Te (0.103, 0.880, 0.955)
Te (0.113, 0.116, 0.465)
Te (0.113, 0.384, 0.965)
Te (0.202, 0.096, 0.157)
Te (0.202, 0.404, 0.657)
Te (0.206, 0.615, 0.166)
Te (0.206, 0.885, 0.666)
Te (0.287, 0.152, 0.854)
Te (0.287, 0.348, 0.354)
Te (0.311, 0.639, 0.836)
Te (0.311, 0.861, 0.336)
Te (0.390, 0.629, 0.547)
Te (0.390, 0.871, 0.047)
Te (0.403, 0.130, 0.545)
Te (0.403, 0.370, 0.045)
Te (0.496, 0.096, 0.251)
Te (0.496, 0.404, 0.751)
Te (0.504, 0.596, 0.249)
Te (0.504, 0.904, 0.749)
Te (0.597, 0.630, 0.955)
Te (0.597, 0.870, 0.455)
Te (0.610, 0.129, 0.953)
Te (0.610, 0.371, 0.453)
Te (0.689, 0.139, 0.664)
Te (0.689, 0.361, 0.164)
Te (0.713, 0.652, 0.646)
Te (0.713, 0.848, 0.146)
Te (0.794, 0.115, 0.334)
Te (0.794, 0.385, 0.834)
Te (0.798, 0.596, 0.343)
Te (0.798, 0.904, 0.843)
Te (0.887, 0.616, 0.035)
Te (0.887, 0.884, 0.535)
Te (0.897, 0.120, 0.045)
Te (0.897, 0.380, 0.545)
Te (0.986, 0.161, 0.733)
Te (0.986, 0.339, 0.233)

4.
Compound: CsAgBr2
Source: the Materials Project database
Functional: GGA-PBE
Structure: optimized geometry

Values from the calculation:
**DFT formation energy**: -1.349 eV per atom
**E (MP2020)**: -3.10 eV/atom
**Crystal system**: orthorhombic

a = 4.666 Å, b = 20.345 Å, c = 6.044 Å
α = 90.00°, β = 90.00°, γ = 90.00°
Element x y z (fractional)
Cs (0.000, 0.085, 0.250)
Cs (0.000, 0.915, 0.750)
Cs (0.500, 0.415, 0.750)
Cs (0.500, 0.585, 0.250)
Ag (0.000, 0.299, 0.250)
Ag (0.000, 0.701, 0.750)
Ag (0.500, 0.201, 0.750)
Ag (0.500, 0.799, 0.250)
Br (0.000, 0.275, 0.750)
Br (0.000, 0.431, 0.250)
Br (0.000, 0.569, 0.750)
Br (0.000, 0.725, 0.250)
Br (0.500, 0.069, 0.750)
Br (0.500, 0.225, 0.250)
Br (0.500, 0.775, 0.750)
Br (0.500, 0.931, 0.250)

5.
Compound: Rb2TlSbCl6
Source: the Materials Project database
Functional: GGA-PBE
Structure: optimized geometry

Values from the calculation:
**DFT formation energy**: -1.701 eV per atom
**E (MP2020)**: -3.66 eV/atom
**Crystal system**: cubic

a = 8.054 Å, b = 8.054 Å, c = 8.054 Å
α = 60.00°, β = 60.00°, γ = 60.00°
Element x y z (fractional)
Rb (0.250, 0.250, 0.250)
Rb (0.750, 0.750, 0.750)
Tl (0.000, 0.000, 0.000)
Sb (0.500, 0.500, 0.500)
Cl (0.266, 0.266, 0.734)
Cl (0.266, 0.734, 0.266)
Cl (0.266, 0.734, 0.734)
Cl (0.734, 0.266, 0.266)
Cl (0.734, 0.266, 0.734)
Cl (0.734, 0.734, 0.266)

6.
Compound: TiOF2
Source: the Materials Project database
Functional: GGA-PBE
Structure: optimized geometry

Values from the calculation:
**DFT formation energy**: -3.563 eV per atom
**E (MP2020)**: -7.73 eV/atom
**Crystal system**: monoclinic

a = 5.227 Å, b = 8.936 Å, c = 5.704 Å
α = 90.00°, β = 91.99°, γ = 90.00°
Element x y z (fractional)
Ti (0.044, 0.000, 0.293)
Ti (0.381, 0.278, 0.020)
Ti (0.619, 0.778, 0.980)
Ti (0.956, 0.500, 0.707)
O (0.185, 0.179, 0.228)
O (0.200, 0.443, 0.921)
O (0.800, 0.943, 0.079)
O (0.815, 0.679, 0.772)
F (0.107, 0.501, 0.432)
F (0.303, 0.864, 0.271)
F (0.328, 0.805, 0.808)
F (0.371, 0.141, 0.790)
F (0.629, 0.641, 0.210)
F (0.672, 0.305, 0.192)
F (0.697, 0.364, 0.729)
F (0.893, 0.001, 0.568)

7.
Compound: Sc2NiRu
Source: the Materials Project database
Functional: GGA-PBE
Structure: optimized geometry

Values from the calculation:
**DFT formation energy**: -0.580 eV per atom
**Crystal system**: cubic

a = 6.390 Å, b = 6.390 Å, c = 6.390 Å
α = 90.00°, β = 90.00°, γ = 90.00°
Element x y z (fractional)
Sc (0.250, 0.250, 0.250)
Sc (0.250, 0.250, 0.750)
Sc (0.250, 0.750, 0.250)
Sc (0.250, 0.750, 0.750)
Sc (0.750, 0.250, 0.250)
Sc (0.750, 0.250, 0.750)
Sc (0.750, 0.750, 0.250)
Sc (0.750, 0.750, 0.750)
Ni (0.000, 0.000, 0.000)
Ni (0.000, 0.500, 0.500)
Ni (0.500, 0.000, 0.500)
Ni (0.500, 0.500, 0.000)
Ru (0.000, 0.000, 0.500)
Ru (0.000, 0.500, 0.000)
Ru (0.500, 0.000, 0.000)
Ru (0.500, 0.500, 0.500)

8.
Compound: EuO2
Source: the Materials Project database
Functional: GGA-PBE
Structure: optimized geometry

Values from the calculation:
**DFT formation energy**: -2.653 eV per atom
**E (MP2020)**: -9.37 eV/atom
**Crystal system**: monoclinic

a = 3.889 Å, b = 3.912 Å, c = 5.473 Å
α = 90.00°, β = 90.38°, γ = 90.00°
Element x y z (fractional)
Eu (0.249, 0.250, 0.249)
Eu (0.751, 0.750, 0.751)
O (0.248, 0.750, 0.002)
O (0.251, 0.750, 0.504)
O (0.749, 0.250, 0.496)
O (0.752, 0.250, 0.998)

9.
Compound: Hf6Be15Cu8
Source: the Materials Project database
Functional: GGA-PBE
Structure: optimized geometry

Values from the calculation:
**DFT formation energy**: -0.254 eV per atom
**Crystal system**: cubic

a = 7.825 Å, b = 7.825 Å, c = 7.825 Å
α = 60.00°, β = 60.00°, γ = 60.00°
Element x y z (fractional)
Hf (0.202, 0.202, 0.798)
Hf (0.202, 0.798, 0.202)
Hf (0.202, 0.798, 0.798)
Hf (0.798, 0.202, 0.202)
Hf (0.798, 0.202, 0.798)
Hf (0.798, 0.798, 0.202)
Be (0.000, 0.000, 0.500)
Be (0.000, 0.500, 0.000)
Be (0.000, 0.500, 0.500)
Be (0.176, 0.176, 0.176)
Be (0.176, 0.176, 0.473)
Be (0.176, 0.473, 0.176)
Be (0.473, 0.176, 0.176)
Be (0.500, 0.000, 0.000)
Be (0.500, 0.000, 0.500)
Be (0.500, 0.500, 0.000)
Be (0.500, 0.500, 0.500)
Be (0.527, 0.824, 0.824)
Be (0.824, 0.527, 0.824)
Be (0.824, 0.824, 0.527)
Be (0.824, 0.824, 0.824)
Cu (0.130, 0.623, 0.623)
Cu (0.377, 0.377, 0.377)
Cu (0.377, 0.377, 0.870)
Cu (0.377, 0.870, 0.377)
Cu (0.623, 0.130, 0.623)
Cu (0.623, 0.623, 0.130)
Cu (0.623, 0.623, 0.623)
Cu (0.870, 0.377, 0.377)

10.
Compound: NaCe2Se3
Source: the Materials Project database
Functional: GGA-PBE
Structure: optimized geometry

Values from the calculation:
**DFT formation energy**: -1.911 eV per atom
**E (MP2020)**: -5.86 eV/atom
**Crystal system**: orthorhombic

a = 4.229 Å, b = 5.979 Å, c = 12.887 Å
α = 90.00°, β = 90.00°, γ = 90.00°
Element x y z (fractional)
Na (0.000, 0.000, 0.000)
Na (0.500, 0.500, 0.500)
Ce (0.000, 0.000, 0.335)
Ce (0.000, 0.000, 0.665)
Ce (0.500, 0.500, 0.165)
Ce (0.500, 0.500, 0.835)
Se (0.000, 0.500, 0.000)
Se (0.000, 0.500, 0.330)
Se (0.000, 0.500, 0.670)
Se (0.500, 0.000, 0.170)
Se (0.500, 0.000, 0.500)
Se (0.500, 0.000, 0.830)

11.
Compound: Hg3N2Cl8O
Source: the Materials Project database
Functional: GGA-PBE
Structure: optimized geometry

Values from the calculation:
**DFT formation energy**: 0.651 eV per atom
**E (MP2020)**: -2.01 eV/atom
**Crystal system**: monoclinic

a = 10.863 Å, b = 10.863 Å, c = 8.838 Å
α = 104.19°, β = 104.19°, γ = 21.93°
Element x y z (fractional)
Hg (0.000, 0.000, 0.000)
Hg (0.172, 0.172, 0.885)
Hg (0.828, 0.828, 0.115)
N (0.310, 0.310, 0.593)
N (0.690, 0.690, 0.407)
Cl (0.050, 0.050, 0.274)
Cl (0.110, 0.110, 0.618)
Cl (0.233, 0.233, 0.156)
Cl (0.413, 0.413, 0.045)
Cl (0.587, 0.587, 0.955)
Cl (0.767, 0.767, 0.844)
Cl (0.890, 0.890, 0.382)
Cl (0.950, 0.950, 0.726)
O (0.500, 0.500, 0.500)

12.
Compound: Te6RhBr3
Source: the Materials Project database
Functional: GGA-PBE
Structure: optimized geometry

Values from the calculation:
**DFT formation energy**: -0.488 eV per atom
**E (MP2020)**: -3.60 eV/atom
**Crystal system**: trigonal

a = 9.523 Å, b = 9.523 Å, c = 9.523 Å
α = 108.44°, β = 108.44°, γ = 108.44°
Element x y z (fractional)
Te (0.071, 0.830, 0.814)
Te (0.170, 0.186, 0.929)
Te (0.186, 0.929, 0.170)
Te (0.314, 0.330, 0.571)
Te (0.330, 0.571, 0.314)
Te (0.429, 0.686, 0.670)
Te (0.571, 0.314, 0.330)
Te (0.670, 0.429, 0.686)
Te (0.686, 0.670, 0.429)
Te (0.814, 0.071, 0.830)
Te (0.830, 0.814, 0.071)
Te (0.929, 0.170, 0.186)
Rh (0.250, 0.250, 0.250)
Rh (0.750, 0.750, 0.750)
Br (0.013, 0.487, 0.750)
Br (0.250, 0.987, 0.513)
Br (0.487, 0.750, 0.013)
Br (0.513, 0.250, 0.987)
Br (0.750, 0.013, 0.487)
Br (0.987, 0.513, 0.250)

Q: The highest DFT formation energy belongs to which entry?
A: Hg3N2Cl8O